# 1
The following is a GGA-PBE calculation of crystalline LiNb3Cl8 at its relaxed geometry, from the Materials Project database.

extended XYZ file:
```
48
Lattice="6.513 -6.729 0.000 6.513 6.729 0.000 0.000 0.000 13.655" Properties=species:S:1:pos:R:3 pbc="T T T"
Li 6.513 1.080 5.634
Li 6.513 5.649 12.462
Li 6.513 -1.080 8.021
Li 6.513 -5.649 1.194
Nb 6.513 5.513 8.493
Nb 8.594 0.000 0.000
Nb 10.944 0.000 6.828
Nb 4.431 0.000 0.000
Nb 2.081 0.000 6.828
Nb 6.513 -1.670 1.221
Nb 6.513 -5.060 8.049
Nb 6.513 1.670 12.434
Nb 6.513 5.060 5.607
Nb 6.513 -1.216 11.990
Nb 6.513 -5.513 5.162
Nb 6.513 1.216 1.665
Cl 4.082 1.465 1.949
Cl 11.273 0.000 0.000
Cl 8.266 0.000 6.828
Cl 1.753 0.000 0.000
Cl 4.760 0.000 6.828
Cl 6.513 -3.961 2.822
Cl 6.513 -2.769 9.650
Cl 6.513 3.961 10.834
Cl 6.513 2.769 4.006
Cl 6.513 0.541 10.226
Cl 6.513 6.188 3.398
Cl 6.513 -0.541 3.430
Cl 2.431 -1.465 8.776
Cl 2.435 -1.964 5.369
Cl 2.431 1.465 4.879
Cl 4.082 -1.465 11.707
Cl 10.595 1.465 4.879
Cl 8.944 -1.465 11.707
Cl 10.595 -1.465 8.776
Cl 8.944 1.465 1.949
Cl 2.435 1.964 8.286
Cl 4.078 1.964 12.197
Cl 6.513 -3.424 13.115
Cl 4.078 -1.964 1.459
Cl 10.591 1.964 8.286
Cl 8.948 -1.964 1.459
Cl 10.591 -1.964 5.369
Cl 8.948 1.964 12.197
Cl 6.513 3.305 7.368
Cl 6.513 3.424 0.540
Cl 6.513 -3.305 6.288
Cl 6.513 -6.188 10.257
```

Values from the calculation:
Space group: Cmce, No. 64

# 2
The following is a GGA-PBE calculation of crystalline LiNb6Cl19 at its relaxed geometry, from the Materials Project database.

extended XYZ file:
```
52
Lattice="6.882 0.000 0.000 0.000 6.954 0.000 0.000 0.000 28.636" Properties=species:S:1:pos:R:3 pbc="T T T"
Li 0.000 3.477 0.000
Li 0.000 3.477 14.318
Nb 4.903 4.584 25.571
Nb 1.979 4.584 17.384
Nb 4.903 2.370 3.065
Nb 1.979 2.370 11.253
Nb 1.979 2.370 3.065
Nb 4.903 2.370 11.253
Nb 1.979 4.584 25.571
Nb 4.903 4.584 17.384
Nb 3.441 1.538 5.439
Nb 3.441 1.538 8.879
Nb 3.441 5.416 23.198
Nb 3.441 5.416 19.757
Cl 5.135 2.658 26.997
Cl 1.747 2.658 15.958
Cl 5.135 4.296 1.639
Cl 1.747 4.296 12.679
Cl 1.747 4.296 1.639
Cl 5.135 4.296 12.679
Cl 1.747 2.658 26.997
Cl 5.135 2.658 15.958
Cl 0.000 1.401 1.652
Cl 0.000 1.401 12.666
Cl 3.441 3.160 18.766
Cl 3.441 3.160 24.189
Cl 3.441 3.794 9.870
Cl 3.441 3.794 4.448
Cl 5.163 6.689 18.645
Cl 1.718 6.689 24.310
Cl 5.163 0.265 9.992
Cl 1.718 0.265 4.326
Cl 1.718 0.265 9.992
Cl 5.163 0.265 4.326
Cl 1.718 6.689 18.645
Cl 5.163 6.689 24.310
Cl 3.441 5.750 15.826
Cl 3.441 5.750 27.129
Cl 3.441 1.204 12.810
Cl 3.441 1.204 1.508
Cl 3.441 0.374 21.477
Cl 3.441 6.580 7.159
Cl 5.058 4.467 21.477
Cl 1.824 4.467 21.477
Cl 5.058 2.487 7.159
Cl 1.824 2.487 7.159
Cl 0.000 3.679 18.724
Cl 0.000 3.679 24.231
Cl 0.000 3.275 9.912
Cl 0.000 3.275 4.406
Cl 0.000 5.553 15.970
Cl 0.000 5.553 26.985
```

Values from the calculation:
Space group: Pmma, No. 51

# 3
The following is a GGA-PBE calculation of crystalline Rb6LiNd11Se12Cl16O36 at its relaxed geometry, from the Materials Project database.

extended XYZ file:
```
164
Lattice="-8.010 8.010 12.579 8.010 -8.010 12.579 8.010 8.010 -12.579" Properties=species:S:1:pos:R:3 pbc="T T T"
Rb 1.926 2.077 12.579
Rb 2.077 -1.926 12.579
Rb -1.976 6.034 12.579
Rb 9.986 1.976 0.000
Rb 6.034 1.976 12.579
Rb 1.926 13.942 0.000
Rb 5.932 9.936 0.000
Rb 6.083 -5.932 12.579
Rb 2.077 1.926 0.000
Rb 6.083 5.932 0.000
Rb 5.932 6.083 12.579
Rb 1.976 6.034 0.000
Li 0.000 8.010 6.289
Li 8.010 0.000 6.289
Nd -1.942 9.952 9.445
Nd 6.067 -1.942 9.445
Nd 4.118 0.000 6.289
Nd 0.000 0.000 6.289
Nd 8.010 -3.892 6.289
Nd -4.005 4.005 6.289
Nd -1.942 6.067 3.134
Nd 4.005 4.005 -6.289
Nd 6.067 1.942 3.134
Nd 3.892 8.010 6.289
Nd 0.000 11.902 6.289
Nd 11.902 0.000 6.289
Nd 1.942 9.952 3.134
Nd 0.000 0.000 18.868
Nd 4.005 4.005 6.289
Nd 1.942 6.067 9.445
Nd -3.892 8.010 6.289
Nd 9.952 -1.942 3.134
Nd 4.005 -4.005 6.289
Nd 9.952 1.942 9.445
Nd 8.010 3.892 6.289
Nd 0.000 4.118 6.289
Se -1.727 9.737 4.317
Se 9.956 5.615 -8.549
Se 9.737 1.727 4.317
Se 1.727 9.737 8.262
Se 2.394 1.946 21.128
Se 1.946 2.394 16.609
Se 2.394 -1.946 8.549
Se 5.615 9.956 -4.030
Se -1.727 6.282 8.262
Se 5.615 6.063 -8.549
Se 6.063 5.615 -4.030
Se -1.946 2.394 21.128
Se 6.282 1.727 8.262
Se 6.063 5.615 4.030
Se 1.946 2.394 8.549
Se 9.737 -1.727 8.262
Se -1.946 2.394 4.030
Se 9.956 5.615 8.549
Se 2.394 -1.946 16.609
Se 2.394 1.946 4.030
Se 5.615 6.063 8.549
Se 5.615 9.956 4.030
Se 1.727 6.282 4.317
Se 6.282 -1.727 4.317
Cl 3.827 11.836 1.930
Cl 8.010 0.000 10.652
Cl 0.000 0.000 10.636
Cl 3.827 4.183 14.509
Cl 0.000 8.010 1.927
Cl 0.124 4.257 10.688
Cl 3.753 8.134 -1.891
Cl 4.183 3.827 -1.930
Cl 0.000 0.000 14.522
Cl 0.000 0.000 23.215
Cl 3.827 11.836 -1.930
Cl 8.010 0.000 1.927
Cl 4.183 -3.827 10.649
Cl 4.257 -0.124 10.688
Cl 3.753 7.886 10.688
Cl 0.000 0.000 1.943
Cl 4.257 -0.124 14.470
Cl 0.124 4.257 14.470
Cl 3.753 8.134 1.891
Cl -0.124 4.257 1.891
Cl 7.886 -3.753 10.688
Cl 8.134 3.753 10.688
Cl 4.183 3.827 1.930
Cl -3.753 8.134 10.688
Cl 4.257 0.124 1.891
Cl 0.000 8.010 10.652
Cl 4.183 -3.827 14.509
Cl 0.124 11.762 1.891
Cl 7.886 3.753 1.891
Cl 11.762 -0.124 1.891
Cl 7.886 3.753 -1.891
Cl 3.827 4.183 10.649
O 4.675 9.947 7.602
O 3.939 9.991 -4.597
O 7.974 -1.947 4.665
O 6.028 -3.939 7.982
O 9.947 4.675 4.977
O 1.947 7.974 4.665
O 6.015 8.611 -5.021
O 1.937 3.335 4.977
O 7.408 6.015 5.021
O 7.408 6.015 -5.021
O 9.957 -0.035 7.914
O 5.769 2.240 6.678
O 3.939 9.991 4.597
O 6.028 3.939 -4.597
O 4.071 -1.982 17.176
O -1.937 3.335 17.556
O 1.994 -0.602 7.558
O 9.957 0.035 4.665
O 1.994 0.602 5.021
O -2.240 5.769 6.678
O 1.994 -0.602 17.600
O 6.073 4.675 7.602
O 8.611 6.015 -7.558
O 7.974 1.947 7.914
O 6.015 8.611 5.021
O -1.937 3.335 7.602
O 6.062 0.035 7.914
O -2.240 10.250 5.901
O 1.994 0.602 20.137
O 3.335 -1.937 4.977
O 4.675 6.073 4.977
O 3.939 6.028 7.982
O 2.240 5.769 5.901
O 1.982 11.948 4.597
O 9.947 4.675 -4.977
O 4.071 1.982 4.597
O -0.035 6.062 7.914
O 0.602 1.994 7.558
O 0.035 9.957 7.914
O 8.611 6.015 7.558
O 5.769 -2.240 5.901
O -1.982 4.071 4.597
O 4.071 -1.982 7.982
O 2.240 10.250 6.678
O 12.685 1.937 4.977
O -4.675 6.073 7.602
O 3.335 1.937 17.556
O 1.982 4.071 17.176
O 6.015 7.408 7.558
O -1.947 8.045 4.665
O 1.947 8.045 7.914
O -0.602 1.994 5.021
O 0.035 6.062 4.665
O 8.045 1.947 4.665
O 6.062 -0.035 4.665
O -3.939 9.991 7.982
O 9.991 3.939 7.982
O 1.982 4.071 7.982
O 0.602 1.994 17.600
O 10.250 -2.240 6.678
O -1.947 7.974 7.914
O 8.045 -1.947 7.914
O -0.035 9.957 4.665
O 10.250 2.240 5.901
O 9.947 -4.675 7.602
O 6.028 3.939 4.597
O 4.675 6.073 -4.977
O 11.948 -1.982 4.597
O -1.937 12.685 4.977
O -0.602 1.994 20.137
O 6.015 7.408 -7.558
O 3.335 1.937 7.602
```

Values from the calculation:
Space group: I4/mcm, No. 140

# 4
The following is a GGA-PBE calculation of crystalline Rb2LiNdCl6 at its relaxed geometry, from the Materials Project database.

extended XYZ file:
```
10
Lattice="0.000 5.326 5.326 5.326 0.000 5.326 5.326 5.326 0.000" Properties=species:S:1:pos:R:3 pbc="T T T"
Rb 7.989 7.989 7.989
Rb 2.663 2.663 2.663
Li 5.326 5.326 5.326
Nd 0.000 0.000 0.000
Cl 2.727 5.326 5.326
Cl 5.326 5.326 2.727
Cl 7.925 5.326 5.326
Cl 5.326 2.727 5.326
Cl 5.326 7.925 5.326
Cl 5.326 5.326 7.925
```

Values from the calculation:
Space group: Fm-3m, No. 225

# 5
The following is a GGA-PBE calculation of crystalline Li6NiCl8 at its relaxed geometry, from the Materials Project database.

extended XYZ file:
```
15
Lattice="0.000 5.135 5.135 5.135 0.000 5.135 5.135 5.135 0.000" Properties=species:S:1:pos:R:3 pbc="T T T"
Li 0.000 2.568 2.568
Li 5.135 2.568 2.568
Li 2.568 0.000 2.568
Li 2.568 5.135 2.568
Li 2.568 2.568 0.000
Li 2.568 2.568 5.135
Ni 0.000 0.000 0.000
Cl 2.568 2.568 2.568
Cl 7.703 7.703 7.703
Cl 2.407 5.135 5.135
Cl 7.864 5.135 5.135
Cl 5.135 2.407 5.135
Cl 5.135 7.864 5.135
Cl 5.135 5.135 2.407
Cl 5.135 5.135 7.864
```

Values from the calculation:
Space group: Fm-3m, No. 225

# 6
The following is a GGA-PBE calculation of crystalline LiPr2Ta2Cl2O7 at its relaxed geometry, from the Materials Project database.

extended XYZ file:
```
14
Lattice="3.928 0.000 -1.008 -0.716 6.421 -2.787 -0.022 -0.022 8.067" Properties=species:S:1:pos:R:3 pbc="T T T"
Li 1.606 3.211 -1.898
Pr 0.597 5.411 2.326
Pr 2.593 0.988 1.945
Ta 3.630 1.214 5.988
Ta -0.440 5.185 -1.717
Cl 2.257 3.607 0.637
Cl 0.933 2.792 3.634
O 1.646 1.172 6.413
O 1.544 5.227 -2.141
O 2.981 5.444 3.458
O -0.358 3.211 -1.394
O 3.172 0.417 4.202
O 0.209 0.955 0.814
O 0.018 5.982 0.070
```

Values from the calculation:
Energy relative to the lowest polymorph listed for this composition: 0.0000 eV per atom
Space group: C2/m, No. 12

# 7
The following is a GGA-PBE calculation of crystalline LiPr2Ta2Cl2O7 at its relaxed geometry, from the Materials Project database.

extended XYZ file:
```
14
Lattice="3.930 0.000 -1.009 -0.718 6.417 -2.798 -0.023 -0.035 8.070" Properties=species:S:1:pos:R:3 pbc="T T T"
Li 1.517 2.986 5.915
Pr 0.564 5.240 2.203
Pr 2.565 0.813 1.837
Ta 3.605 1.038 5.887
Ta -0.472 5.015 -1.835
Cl 2.229 3.441 0.527
Cl 0.901 2.628 3.510
O 1.619 0.999 6.312
O 1.511 5.055 -2.270
O 2.951 5.270 3.344
O 3.513 3.004 5.530
O 3.144 0.254 4.095
O 0.181 0.790 0.709
O -0.014 5.808 -0.049
```

Values from the calculation:
Energy relative to the lowest polymorph listed for this composition: 0.0002 eV per atom
Space group: Cm, No. 8

# 8
The following is a GGA-PBE calculation of crystalline LiPr2Ta2Cl2O7 at its relaxed geometry, from the Materials Project database.

extended XYZ file:
```
14
Lattice="-2.899 -1.864 2.093 3.984 -5.578 0.549 2.640 5.953 5.077" Properties=species:S:1:pos:R:3 pbc="T T T"
Li 1.624 -0.275 5.887
Pr 4.247 -1.825 4.255
Pr -0.393 -0.075 3.273
Ta 0.503 2.463 6.774
Ta 3.385 -4.232 0.917
Cl 1.366 -2.394 3.642
Cl 2.493 0.618 4.002
O 1.824 3.455 5.603
O 2.004 -5.174 2.050
O 2.937 -1.498 6.617
O 1.763 1.075 7.283
O -0.291 1.746 5.036
O 0.830 -0.207 0.964
O 4.211 -3.576 2.646
```

Values from the calculation:
Energy relative to the lowest polymorph listed for this composition: 0.0624 eV per atom
Space group: Cm, No. 8

Respective total energy values: -5.27; -5.09; -5.74; -4.04; -3.71; -8.08; -8.08; -8.01 eV/atom.
Respective formation enthalpy at 0 K values: -1.76; -1.78; -2.26; -2.44; -1.90; -3.17; -3.17; -3.10 eV per atom.
Respective V values: 1196.94; 1370.42; 3227.97; 302.12; 270.86; 203.05; 202.99; 207.03 Å³ per cell.